Record 1
A relaxed structure of CoBi12O20. Source: Materials Project, functional meta-GGA r2SCAN.

Cell lengths 8.786, 8.786, 8.786 Å; angles 109.47, 109.47, 109.47 degrees
Fractional positions:
1 O 0.384 0.764 0.643
2 O 0.000 0.000 0.795
3 O 0.616 0.259 0.380
4 O 0.236 0.620 0.879
5 O 0.795 0.000 0.000
6 O 0.607 0.607 0.607
7 O 0.121 0.741 0.357
8 O 0.620 0.879 0.236
9 O 0.357 0.121 0.741
10 O 0.764 0.643 0.384
11 O 0.393 0.000 0.000
12 O 0.380 0.616 0.259
13 O 0.259 0.380 0.616
14 O 0.000 0.000 0.393
15 O 0.879 0.236 0.620
16 O 0.000 0.393 0.000
17 O 0.741 0.357 0.121
18 O 0.000 0.795 0.000
19 O 0.643 0.384 0.764
20 O 0.205 0.205 0.205
21 Bi 0.839 0.143 0.334
22 Bi 0.304 0.161 0.495
23 Bi 0.857 0.696 0.191
24 Bi 0.334 0.839 0.143
25 Bi 0.191 0.857 0.696
26 Bi 0.505 0.666 0.809
27 Bi 0.666 0.809 0.505
28 Bi 0.495 0.304 0.161
29 Bi 0.143 0.334 0.839
30 Bi 0.809 0.505 0.666
31 Bi 0.696 0.191 0.857
32 Bi 0.161 0.495 0.304
33 Co 0.000 0.000 0.000

Properties
Calculated total energy   -26.591 eV per atom
Magnetization   5.000 Bohr magnetons per cell
Space-group type   No. 197

Record 2
A relaxed structure of CoBi2O6. Source: Materials Project, functional meta-GGA r2SCAN.

Cell lengths 8.810, 8.810, 4.984 Å; angles 90.00, 90.00, 120.00 degrees
Fractional positions:
1 O 0.118 0.918 0.716
2 O 0.199 0.082 0.284
3 O 0.535 0.767 0.219
4 O 0.082 0.199 0.716
5 O 0.400 0.537 0.783
6 O 0.882 0.801 0.284
7 O 0.233 0.768 0.219
8 O 0.537 0.400 0.217
9 O 0.600 0.137 0.217
10 O 0.463 0.863 0.783
11 O 0.137 0.600 0.783
12 O 0.768 0.233 0.781
13 O 0.767 0.535 0.781
14 O 0.863 0.463 0.217
15 O 0.232 0.465 0.219
16 O 0.465 0.232 0.781
17 O 0.801 0.882 0.716
18 O 0.918 0.118 0.284
19 Bi 0.710 0.000 0.000
20 Bi 0.000 0.710 0.000
21 Bi 0.000 0.377 0.500
22 Bi 0.623 0.623 0.500
23 Bi 0.377 0.000 0.500
24 Bi 0.290 0.290 0.000
25 Co 0.667 0.333 0.000
26 Co 0.333 0.667 0.000
27 Co 0.000 0.000 0.500

Properties
Calculated total energy   -19.551 eV per atom
Magnetization   0.001 Bohr magnetons per cell
Space-group type   No. 150

Record 3
A relaxed structure of CoBi2O6. Source: Materials Project, functional meta-GGA r2SCAN.

Cell lengths 6.813, 6.813, 9.696 Å; angles 90.00, 90.00, 90.00 degrees
Fractional positions:
1 Bi 0.000 0.500 0.834
2 Bi 0.500 0.500 0.666
3 Bi 0.500 0.500 0.334
4 Bi 0.500 0.000 0.166
5 Bi 0.000 0.000 0.334
6 Bi 0.000 0.000 0.666
7 Bi 0.000 0.500 0.166
8 Bi 0.500 0.000 0.834
9 O 0.217 0.500 0.000
10 O 0.182 0.500 0.350
11 O 0.682 0.000 0.650
12 O 0.818 0.500 0.350
13 O 0.318 0.000 0.350
14 O 0.000 0.818 0.150
15 O 0.000 0.182 0.850
16 O 0.500 0.682 0.150
17 O 0.000 0.217 0.500
18 O 0.717 0.000 0.000
19 O 0.500 0.283 0.500
20 O 0.000 0.818 0.850
21 O 0.000 0.182 0.150
22 O 0.000 0.783 0.500
23 O 0.283 0.000 0.000
24 O 0.500 0.682 0.850
25 O 0.500 0.717 0.500
26 O 0.182 0.500 0.650
27 O 0.318 0.000 0.650
28 O 0.783 0.500 0.000
29 O 0.500 0.318 0.150
30 O 0.500 0.318 0.850
31 O 0.818 0.500 0.650
32 O 0.682 0.000 0.350
33 Co 0.000 0.000 0.000
34 Co 0.000 0.500 0.500
35 Co 0.500 0.000 0.500
36 Co 0.500 0.500 0.000

Properties
Calculated total energy   -19.460 eV per atom
Magnetization   0.000 Bohr magnetons per cell

Record 4
A relaxed structure of Tb5CoBi2. Source: Materials Project, functional meta-GGA r2SCAN.

Cell lengths 8.058, 8.890, 12.386 Å; angles 90.00, 90.00, 90.00 degrees
Fractional positions:
1 Tb 0.384 0.750 0.689
2 Tb 0.947 0.750 0.502
3 Tb 0.616 0.250 0.311
4 Tb 0.053 0.250 0.498
5 Tb 0.847 0.750 0.800
6 Tb 0.676 0.038 0.564
7 Tb 0.176 0.538 0.936
8 Tb 0.116 0.750 0.189
9 Tb 0.884 0.250 0.811
10 Tb 0.176 0.962 0.936
11 Tb 0.553 0.750 0.002
12 Tb 0.447 0.250 0.998
13 Tb 0.347 0.250 0.700
14 Tb 0.676 0.462 0.564
15 Tb 0.824 0.462 0.064
16 Tb 0.324 0.538 0.436
17 Tb 0.653 0.750 0.300
18 Tb 0.824 0.038 0.064
19 Tb 0.324 0.962 0.436
20 Tb 0.153 0.250 0.200
21 Co 0.435 0.250 0.492
22 Co 0.065 0.250 0.992
23 Co 0.935 0.750 0.008
24 Co 0.565 0.750 0.508
25 Bi 0.572 0.491 0.827
26 Bi 0.572 0.009 0.827
27 Bi 0.072 0.509 0.673
28 Bi 0.428 0.991 0.173
29 Bi 0.928 0.491 0.327
30 Bi 0.072 0.991 0.673
31 Bi 0.428 0.509 0.173
32 Bi 0.928 0.009 0.327

Properties
Calculated total energy   -36.431 eV per atom
Magnetization   0.671 Bohr magnetons per cell
Space-group type   No. 62

Record 5
A relaxed structure of Ti4CoBi2. Source: Materials Project, functional meta-GGA r2SCAN.

Cell lengths 4.853, 7.852, 7.852 Å; angles 84.52, 72.00, 72.00 degrees
Fractional positions:
1 Ti 0.920 0.887 0.273
2 Ti 0.080 0.113 0.727
3 Ti 0.693 0.887 0.727
4 Ti 0.307 0.113 0.273
5 Ti 0.420 0.273 0.887
6 Ti 0.580 0.727 0.113
7 Ti 0.807 0.273 0.113
8 Ti 0.193 0.727 0.887
9 Bi 0.859 0.500 0.782
10 Bi 0.141 0.500 0.218
11 Bi 0.641 0.218 0.500
12 Bi 0.359 0.782 0.500
13 Co 0.250 0.000 0.000
14 Co 0.750 0.000 0.000

Properties
Calculated total energy   -26.309 eV per atom
Magnetization   0.000 Bohr magnetons per cell
Space-group type   No. 140

Record 6
A relaxed structure of Y12Co5Bi. Source: Materials Project, functional meta-GGA r2SCAN.

Cell lengths 8.375, 8.375, 8.375 Å; angles 110.23, 110.96, 107.25 degrees
Fractional positions:
1 Co 0.000 0.382 0.382
2 Co 0.000 0.000 0.000
3 Co 0.391 0.891 0.500
4 Co 0.609 0.109 0.500
5 Co 0.000 0.618 0.618
6 Y 0.712 0.818 0.530
7 Y 0.005 0.312 0.693
8 Y 0.288 0.182 0.470
9 Y 0.791 0.989 0.198
10 Y 0.381 0.688 0.693
11 Y 0.209 0.407 0.198
12 Y 0.209 0.011 0.802
13 Y 0.619 0.312 0.307
14 Y 0.288 0.818 0.107
15 Y 0.712 0.182 0.893
16 Y 0.995 0.688 0.307
17 Y 0.791 0.593 0.802
18 Bi 0.500 0.500 0.000

Properties
Calculated total energy   -20.684 eV per atom
Magnetization   0.965 Bohr magnetons per cell
Space-group type   No. 71